[1]
DFT (PBE-GGA) results for a relaxed TmSbPb2O6 crystal. Values from VASP.

Quantum ESPRESSO input file:
```
&SYSTEM
  ibrav = 0, nat = 20, ntyp = 4
/
ATOMIC_SPECIES
Tm 168.93 Tm.upf
Sb 121.76 Sb.upf
Pb 207.20 Pb.upf
O 16.00 O.upf
CELL_PARAMETERS angstrom
5.1017 -2.9251 0.0000
5.1017 2.9251 0.0000
-3.2412 0.0000 9.6922
ATOMIC_POSITIONS crystal
Tm 0.2429 0.7571 0.7500
Tm 0.7571 0.2429 0.2500
Sb 0.0000 0.5000 0.0000
Sb 0.5000 0.0000 0.5000
Pb 0.1085 0.6298 0.3746
Pb 0.3702 0.8915 0.1254
Pb 0.6298 0.1085 0.8746
Pb 0.8915 0.3702 0.6254
O 0.1174 0.6903 0.9170
O 0.1181 0.1839 0.8485
O 0.1839 0.1181 0.3485
O 0.3097 0.8826 0.5830
O 0.3267 0.3632 0.6184
O 0.3632 0.3267 0.1184
O 0.6368 0.6733 0.8816
O 0.6733 0.6368 0.3816
O 0.6903 0.1174 0.4170
O 0.8161 0.8819 0.6515
O 0.8819 0.8161 0.1515
O 0.8826 0.3097 0.0830
```

Calculated values
VASP energy = -6.483 eV per atom
magnetic moment = 0.00 μB/cell


[2]
DFT (PBE-GGA) results for a relaxed TmSbPb2O6 crystal. Values from VASP.

Quantum ESPRESSO input file:
```
&SYSTEM
  ibrav = 0, nat = 10, ntyp = 4
/
ATOMIC_SPECIES
Tm 168.93 Tm.upf
Sb 121.76 Sb.upf
Pb 207.20 Pb.upf
O 16.00 O.upf
CELL_PARAMETERS angstrom
5.0714 -2.9477 0.0000
5.0714 2.9477 0.0000
-3.4256 0.0000 4.8534
ATOMIC_POSITIONS crystal
Tm 0.0000 0.0000 0.0000
Sb 0.5000 0.5000 0.5000
Pb 0.2468 0.2468 0.7324
Pb 0.7532 0.7532 0.2676
O 0.2175 0.6992 0.6938
O 0.2632 0.2632 0.1922
O 0.3008 0.7825 0.3062
O 0.6992 0.2175 0.6938
O 0.7368 0.7368 0.8078
O 0.7825 0.3008 0.3062
```

Calculated values
VASP energy = -6.481 eV per atom
magnetic moment = 0.00 μB/cell


[3]
DFT (PBE-GGA) results for a relaxed TmSbPb2O6 crystal. Values from VASP.

Quantum ESPRESSO input file:
```
&SYSTEM
  ibrav = 0, nat = 10, ntyp = 4
/
ATOMIC_SPECIES
Tm 168.93 Tm.upf
Sb 121.76 Sb.upf
Pb 207.20 Pb.upf
O 16.00 O.upf
CELL_PARAMETERS angstrom
2.9532 1.7050 4.7774
-2.9532 1.7050 4.7774
0.0000 -3.4101 4.7774
ATOMIC_POSITIONS crystal
Tm 0.0000 0.0000 0.0000
Sb 0.5000 0.5000 0.5000
Pb 0.2504 0.2504 0.2504
Pb 0.7496 0.7496 0.7496
O 0.1985 0.7347 0.3262
O 0.2653 0.6738 0.8015
O 0.3262 0.1985 0.7347
O 0.6738 0.8015 0.2653
O 0.7347 0.3262 0.1985
O 0.8015 0.2653 0.6738
```

Calculated values
VASP energy = -6.478 eV per atom
magnetic moment = 0.00 μB/cell


[4]
DFT (PBE-GGA) results for a relaxed ScTaPb2O6 crystal. Values from VASP.

Quantum ESPRESSO input file:
```
&SYSTEM
  ibrav = 0, nat = 10, ntyp = 4
/
ATOMIC_SPECIES
Sc 44.96 Sc.upf
Ta 180.95 Ta.upf
Pb 207.20 Pb.upf
O 16.00 O.upf
CELL_PARAMETERS angstrom
0.0000 4.1053 4.1053
4.1053 0.0000 4.1053
4.1053 4.1053 0.0000
ATOMIC_POSITIONS crystal
Sc 0.0000 0.0000 0.0000
Ta 0.5000 0.5000 0.5000
Pb 0.2500 0.2500 0.2500
Pb 0.7500 0.7500 0.7500
O 0.2562 0.2562 0.7438
O 0.2562 0.7438 0.2562
O 0.2562 0.7438 0.7438
O 0.7438 0.2562 0.2562
O 0.7438 0.2562 0.7438
O 0.7438 0.7438 0.2562
```

Calculated values
VASP energy = -7.885 eV per atom
magnetic moment = 0.00 μB/cell


[5]
DFT (PBE-GGA) results for a relaxed PbSe2O6 crystal. Values from VASP.

Quantum ESPRESSO input file:
```
&SYSTEM
  ibrav = 0, nat = 18, ntyp = 3
/
ATOMIC_SPECIES
Pb 207.20 Pb.upf
Se 78.96 Se.upf
O 16.00 O.upf
CELL_PARAMETERS angstrom
4.9785 0.0000 0.0000
0.0000 9.0267 0.0000
-2.5253 0.0000 6.8542
ATOMIC_POSITIONS crystal
Pb 0.0000 0.0000 0.0000
Pb 0.0000 0.5000 0.5000
Se 0.3595 0.1515 0.6862
Se 0.3595 0.3485 0.1862
Se 0.6405 0.6515 0.8138
Se 0.6405 0.8485 0.3138
O 0.0858 0.0568 0.7298
O 0.0858 0.4432 0.2298
O 0.2747 0.1640 0.2067
O 0.2747 0.3360 0.7067
O 0.3668 0.6534 0.5863
O 0.3668 0.8466 0.0863
O 0.6332 0.1534 0.9137
O 0.6332 0.3466 0.4137
O 0.7253 0.6640 0.2933
O 0.7253 0.8360 0.7933
O 0.9142 0.5568 0.7702
O 0.9142 0.9432 0.2702
```

Calculated values
VASP energy = -5.279 eV per atom
magnetic moment = 0.00 μB/cell


[6]
DFT (PBE-GGA) results for a relaxed PbSeO4 crystal. Values from VASP.

Quantum ESPRESSO input file:
```
&SYSTEM
  ibrav = 0, nat = 24, ntyp = 3
/
ATOMIC_SPECIES
Pb 207.20 Pb.upf
Se 78.96 Se.upf
O 16.00 O.upf
CELL_PARAMETERS angstrom
7.0677 0.0000 0.0000
0.0000 7.5552 0.0000
-5.3531 0.0000 7.1054
ATOMIC_POSITIONS crystal
Pb 0.1933 0.1472 0.2861
Pb 0.1933 0.3528 0.7861
Pb 0.8067 0.6472 0.2139
Pb 0.8067 0.8528 0.7139
Se 0.3129 0.6642 0.1959
Se 0.3129 0.8358 0.6959
Se 0.6871 0.1642 0.3041
Se 0.6871 0.3358 0.8041
O 0.1328 0.6584 0.6179
O 0.1328 0.8416 0.1179
O 0.1875 0.5056 0.2397
O 0.1875 0.9944 0.7397
O 0.3452 0.6077 0.0283
O 0.3452 0.8923 0.5283
O 0.4070 0.2086 0.1197
O 0.4070 0.2914 0.6197
O 0.5930 0.7086 0.3803
O 0.5930 0.7914 0.8803
O 0.6548 0.1077 0.4717
O 0.6548 0.3923 0.9717
O 0.8125 0.0056 0.2603
O 0.8125 0.4944 0.7603
O 0.8672 0.1584 0.8821
O 0.8672 0.3416 0.3821
```

Calculated values
VASP energy = -5.446 eV per atom


[7]
DFT (PBE-GGA) results for a relaxed PbSe2O6 crystal. Values from VASP.

Quantum ESPRESSO input file:
```
&SYSTEM
  ibrav = 0, nat = 36, ntyp = 3
/
ATOMIC_SPECIES
Pb 207.20 Pb.upf
Se 78.96 Se.upf
O 16.00 O.upf
CELL_PARAMETERS angstrom
15.0815 0.0000 0.0000
0.0000 6.4499 0.0000
0.0000 0.0000 5.4839
ATOMIC_POSITIONS crystal
Pb 0.0000 0.1935 0.2500
Pb 0.0000 0.8065 0.7500
Pb 0.5000 0.3065 0.7500
Pb 0.5000 0.6935 0.2500
Se 0.1552 0.2724 0.7493
Se 0.1552 0.7276 0.2493
Se 0.3448 0.2276 0.2493
Se 0.3448 0.7724 0.7493
Se 0.6552 0.2276 0.2507
Se 0.6552 0.7724 0.7507
Se 0.8448 0.2724 0.7507
Se 0.8448 0.7276 0.2507
O 0.0779 0.0978 0.9081
O 0.0779 0.9022 0.4081
O 0.0843 0.3700 0.5122
O 0.0843 0.6300 0.0122
O 0.2266 0.1111 0.6255
O 0.2266 0.8889 0.1255
O 0.2734 0.3889 0.1255
O 0.2734 0.6111 0.6255
O 0.4157 0.1300 0.0122
O 0.4157 0.8700 0.5122
O 0.4221 0.4022 0.4081
O 0.4221 0.5978 0.9081
O 0.5779 0.4022 0.0919
O 0.5779 0.5978 0.5919
O 0.5843 0.1300 0.4878
O 0.5843 0.8700 0.9878
O 0.7266 0.3889 0.3745
O 0.7266 0.6111 0.8745
O 0.7734 0.1111 0.8745
O 0.7734 0.8889 0.3745
O 0.9157 0.3700 0.9878
O 0.9157 0.6300 0.4878
O 0.9221 0.0978 0.5919
O 0.9221 0.9022 0.0919
```

Calculated values
VASP energy = -5.194 eV per atom
magnetic moment = 0.00 μB/cell


[8]
DFT (PBE-GGA) results for a relaxed UPbSe2O8 crystal. Values from VASP.

Quantum ESPRESSO input file:
```
&SYSTEM
  ibrav = 0, nat = 48, ntyp = 4
/
ATOMIC_SPECIES
U 238.03 U.upf
Pb 207.20 Pb.upf
Se 78.96 Se.upf
O 16.00 O.upf
CELL_PARAMETERS angstrom
12.1930 0.0000 0.0000
0.0000 5.8897 0.0000
0.0000 0.0000 11.4751
ATOMIC_POSITIONS crystal
U 0.2490 0.9997 0.0000
U 0.2490 0.0003 0.5000
U 0.7510 0.9997 0.0000
U 0.7510 0.0003 0.5000
Pb 0.0000 0.4860 0.0515
Pb 0.0000 0.5140 0.5515
Pb 0.5000 0.0506 0.2541
Pb 0.5000 0.9494 0.7541
Se 0.0000 0.1399 0.3060
Se 0.0000 0.8601 0.8060
Se 0.2657 0.3745 0.7251
Se 0.2657 0.6255 0.2251
Se 0.5000 0.4016 0.9905
Se 0.5000 0.5984 0.4905
Se 0.7343 0.3745 0.7251
Se 0.7343 0.6255 0.2251
O 0.0000 0.4097 0.2537
O 0.0000 0.5903 0.7537
O 0.1066 0.1624 0.4067
O 0.1066 0.8376 0.9067
O 0.1571 0.1727 0.0905
O 0.1571 0.8273 0.5905
O 0.1649 0.3097 0.6222
O 0.1649 0.6903 0.1222
O 0.2202 0.2552 0.8535
O 0.2202 0.7448 0.3535
O 0.3438 0.1695 0.4097
O 0.3438 0.8305 0.9097
O 0.3521 0.1644 0.6660
O 0.3521 0.8356 0.1660
O 0.3906 0.2493 0.0520
O 0.3906 0.7507 0.5520
O 0.5000 0.3218 0.8479
O 0.5000 0.6782 0.3479
O 0.6094 0.2493 0.0520
O 0.6094 0.7507 0.5520
O 0.6479 0.1644 0.6660
O 0.6479 0.8356 0.1660
O 0.6562 0.1695 0.4097
O 0.6562 0.8305 0.9097
O 0.7798 0.2552 0.8535
O 0.7798 0.7448 0.3535
O 0.8351 0.3097 0.6222
O 0.8351 0.6903 0.1222
O 0.8429 0.1727 0.0905
O 0.8429 0.8273 0.5905
O 0.8934 0.1624 0.4067
O 0.8934 0.8376 0.9067
```

Calculated values
VASP energy = -6.809 eV per atom
magnetic moment = 0.00 μB/cell


Calculated calculated formation energy in order - -2323; -2321; -2319; -2767; -1249; -1404; -1164; -2135 meV/atom